Record 1
Entry from Materials Project: crystalline Er2U3O11 at its relaxed geometry (GGA-PBE).

Cell: 9.911 9.911 9.911 Å, 158.03 148.33 38.88°
Fractional positions:
Er1 0.203 0.203 0.000
Er2 0.797 0.797 0.000
U1 0.000 0.000 0.000
U2 0.401 0.401 0.000
U3 0.599 0.599 0.000
O1 0.068 0.306 0.761
O2 0.136 0.898 0.237
O3 0.220 0.500 0.720
O4 0.339 0.102 0.237
O5 0.455 0.694 0.761
O6 0.500 0.000 0.500
O7 0.545 0.306 0.239
O8 0.661 0.898 0.763
O9 0.780 0.500 0.280
O10 0.864 0.102 0.763
O11 0.932 0.694 0.239

## Properties
* SG: Immm
* E_tot: -9.269 eV/atom
* total moment: 2.0 μB/f.u.

Record 2
Entry from Materials Project: crystalline YErO3 at its relaxed geometry (GGA-PBE).

Cell: 5.944 8.375 5.683 Å, 90.00 90.00 90.00°
Fractional positions:
Y1 0.052 0.250 0.014
Y2 0.448 0.750 0.514
Y3 0.552 0.250 0.486
Y4 0.948 0.750 0.986
Er1 0.000 0.000 0.500
Er2 0.000 0.500 0.500
Er3 0.500 0.000 0.000
Er4 0.500 0.500 0.000
O1 0.078 0.750 0.355
O2 0.183 0.576 0.821
O3 0.183 0.924 0.821
O4 0.317 0.076 0.321
O5 0.317 0.424 0.321
O6 0.422 0.250 0.855
O7 0.578 0.750 0.145
O8 0.683 0.576 0.679
O9 0.683 0.924 0.679
O10 0.817 0.076 0.179
O11 0.817 0.424 0.179
O12 0.922 0.250 0.645

## Properties
* SG: Pnma
* E_tot: -8.680 eV/atom
* total moment: 0.0 μB/f.u.

Record 3
Entry from Materials Project: crystalline ErZnO3 at its relaxed geometry (GGA-PBE).

Cell: 3.828 3.828 3.828 Å, 90.00 90.00 90.00°
Fractional positions:
Er1 0.000 0.000 0.000
Zn1 0.500 0.500 0.500
O1 0.000 0.500 0.500
O2 0.500 0.000 0.500
O3 0.500 0.500 0.000

## Properties
* SG: Pm-3m
* E_tot: -6.007 eV/atom
* total moment: 0.0 μB/f.u.

Record 4
Entry from Materials Project: crystalline Er4Zr3O12 at its relaxed geometry (GGA-PBE).

Cell: 6.378 6.393 6.486 Å, 99.59 98.64 99.75°
Fractional positions:
Er1 0.111 0.301 0.137
Er2 0.192 0.862 0.391
Er3 0.808 0.138 0.609
Er4 0.889 0.699 0.863
Zr1 0.354 0.393 0.679
Zr2 0.500 0.000 0.000
Zr3 0.646 0.607 0.321
O1 0.086 0.423 0.821
O2 0.092 0.185 0.437
O3 0.184 0.929 0.059
O4 0.327 0.571 0.428
O5 0.421 0.078 0.689
O6 0.463 0.322 0.101
O7 0.537 0.678 0.899
O8 0.579 0.922 0.311
O9 0.673 0.429 0.572
O10 0.816 0.071 0.941
O11 0.908 0.815 0.563
O12 0.914 0.577 0.179

## Properties
* SG: P-1
* E_tot: -8.969 eV/atom
* relative energy among the computed polymorphs: 0 meV/atom